Entry P
DFT (PBE-GGA) results for a relaxed structure of Na2B4O17.

Properties
The space group is C2/c. Its crystal system is monoclinic. Its mass density is 1.509 g/cm³.

a = 8.277 Å, b = 8.277 Å, c = 12.789 Å
α = 103.54°, β = 103.54°, γ = 71.40°
Sites, in units of the cell vectors:
Na (0.085, 0.099, 0.452)
Na (0.099, 0.085, 0.952)
Na (0.901, 0.915, 0.048)
Na (0.915, 0.901, 0.548)
B (0.291, 0.682, 0.986)
B (0.318, 0.709, 0.514)
B (0.487, 0.500, 0.143)
B (0.500, 0.487, 0.643)
B (0.500, 0.513, 0.357)
B (0.513, 0.500, 0.857)
B (0.682, 0.291, 0.486)
B (0.709, 0.318, 0.014)
O (0.010, 0.913, 0.280)
O (0.043, 0.447, 0.530)
O (0.087, 0.990, 0.220)
O (0.135, 0.391, 0.316)
O (0.157, 0.821, 0.990)
O (0.179, 0.843, 0.510)
O (0.180, 0.820, 0.250)
O (0.210, 0.790, 0.750)
O (0.230, 0.287, 0.376)
O (0.287, 0.230, 0.876)
O (0.356, 0.592, 0.074)
O (0.369, 0.620, 0.891)
O (0.380, 0.631, 0.609)
O (0.391, 0.135, 0.816)
O (0.408, 0.644, 0.426)
O (0.447, 0.043, 0.030)
O (0.469, 0.531, 0.250)
O (0.531, 0.469, 0.750)
O (0.553, 0.957, 0.970)
O (0.592, 0.356, 0.574)
O (0.609, 0.865, 0.184)
O (0.620, 0.369, 0.391)
O (0.631, 0.380, 0.109)
O (0.644, 0.408, 0.926)
O (0.713, 0.770, 0.124)
O (0.770, 0.713, 0.624)
O (0.790, 0.210, 0.250)
O (0.820, 0.180, 0.750)
O (0.821, 0.157, 0.490)
O (0.843, 0.179, 0.010)
O (0.865, 0.609, 0.684)
O (0.913, 0.010, 0.780)
O (0.957, 0.553, 0.470)
O (0.990, 0.087, 0.720)

=====

Entry Q
DFT (PBE-GGA) results for a relaxed structure of Na2B4O17.

Properties
The space group is C2/c. Its crystal system is monoclinic. Its mass density is 1.585 g/cm³.

a = 7.609 Å, b = 7.609 Å, c = 13.534 Å
α = 100.42°, β = 100.42°, γ = 90.79°
Sites, in units of the cell vectors:
Na (0.000, 0.500, 0.500)
Na (0.035, 0.965, 0.750)
Na (0.500, 0.000, 0.000)
Na (0.965, 0.035, 0.250)
B (0.276, 0.534, 0.223)
B (0.285, 0.673, 0.393)
B (0.327, 0.715, 0.107)
B (0.466, 0.724, 0.277)
B (0.534, 0.276, 0.723)
B (0.673, 0.285, 0.893)
B (0.715, 0.327, 0.607)
B (0.724, 0.466, 0.777)
O (0.103, 0.196, 0.406)
O (0.157, 0.430, 0.698)
O (0.188, 0.270, 0.691)
O (0.190, 0.544, 0.306)
O (0.196, 0.103, 0.906)
O (0.208, 0.588, 0.132)
O (0.242, 0.681, 0.484)
O (0.261, 0.274, 0.922)
O (0.270, 0.188, 0.191)
O (0.274, 0.261, 0.422)
O (0.317, 0.388, 0.499)
O (0.319, 0.758, 0.016)
O (0.388, 0.317, 0.999)
O (0.412, 0.792, 0.368)
O (0.430, 0.157, 0.198)
O (0.456, 0.810, 0.194)
O (0.465, 0.535, 0.250)
O (0.535, 0.465, 0.750)
O (0.544, 0.190, 0.806)
O (0.570, 0.843, 0.802)
O (0.588, 0.208, 0.632)
O (0.612, 0.683, 0.001)
O (0.681, 0.242, 0.984)
O (0.683, 0.612, 0.501)
O (0.726, 0.739, 0.578)
O (0.730, 0.812, 0.809)
O (0.739, 0.726, 0.078)
O (0.758, 0.319, 0.516)
O (0.792, 0.412, 0.868)
O (0.804, 0.897, 0.094)
O (0.810, 0.456, 0.694)
O (0.812, 0.730, 0.309)
O (0.843, 0.570, 0.302)
O (0.897, 0.804, 0.594)

=====

We find entry Q to be the most stable, with the next structure 45 meV per atom higher.

=====

Entry P
DFT (PBE-GGA) results for a relaxed structure of Na2B8O13.

Properties
The space group is P2_1. Its crystal system is monoclinic. Its mass density is 2.311 g/cm³.

a = 10.502 Å, b = 7.969 Å, c = 11.870 Å
α = 90.00°, β = 99.90°, γ = 90.00°
Sites, in units of the cell vectors:
Na (0.034, 0.000, 0.114)
Na (0.217, 0.290, 0.375)
Na (0.281, 0.617, 0.575)
Na (0.465, 0.004, 0.886)
Na (0.535, 0.504, 0.114)
Na (0.719, 0.117, 0.425)
Na (0.783, 0.790, 0.625)
Na (0.966, 0.500, 0.886)
B (0.017, 0.590, 0.636)
B (0.018, 0.846, 0.498)
B (0.046, 0.555, 0.168)
B (0.149, 0.088, 0.743)
B (0.157, 0.896, 0.900)
B (0.175, 0.898, 0.375)
B (0.206, 0.684, 0.058)
B (0.218, 0.524, 0.794)
B (0.283, 0.483, 0.206)
B (0.294, 0.321, 0.941)
B (0.324, 0.105, 0.626)
B (0.343, 0.110, 0.100)
B (0.351, 0.916, 0.257)
B (0.453, 0.451, 0.832)
B (0.481, 0.160, 0.502)
B (0.485, 0.415, 0.364)
B (0.515, 0.915, 0.636)
B (0.519, 0.660, 0.498)
B (0.547, 0.951, 0.168)
B (0.649, 0.416, 0.743)
B (0.657, 0.610, 0.900)
B (0.676, 0.605, 0.374)
B (0.706, 0.821, 0.059)
B (0.717, 0.983, 0.794)
B (0.782, 0.024, 0.206)
B (0.794, 0.184, 0.942)
B (0.825, 0.398, 0.625)
B (0.843, 0.396, 0.100)
B (0.851, 0.588, 0.257)
B (0.954, 0.055, 0.832)
B (0.982, 0.346, 0.502)
B (0.983, 0.090, 0.364)
O (0.021, 0.253, 0.418)
O (0.026, 0.132, 0.751)
O (0.032, 0.928, 0.907)
O (0.059, 0.472, 0.554)
O (0.087, 0.684, 0.089)
O (0.101, 0.025, 0.322)
O (0.119, 0.616, 0.735)
O (0.141, 0.815, 0.468)
O (0.162, 0.472, 0.232)
O (0.194, 0.421, 0.885)
O (0.209, 0.154, 0.657)
O (0.221, 0.980, 0.823)
O (0.235, 0.786, 0.972)
O (0.265, 0.220, 0.028)
O (0.280, 0.027, 0.178)
O (0.291, 0.852, 0.343)
O (0.307, 0.585, 0.115)
O (0.338, 0.533, 0.766)
O (0.358, 0.189, 0.531)
O (0.380, 0.388, 0.265)
O (0.401, 0.982, 0.679)
O (0.413, 0.321, 0.911)
O (0.441, 0.533, 0.446)
O (0.468, 0.077, 0.093)
O (0.474, 0.873, 0.249)
O (0.478, 0.752, 0.581)
O (0.522, 0.252, 0.419)
O (0.526, 0.373, 0.751)
O (0.532, 0.577, 0.907)
O (0.559, 0.033, 0.554)
O (0.587, 0.821, 0.089)
O (0.599, 0.482, 0.321)
O (0.620, 0.888, 0.735)
O (0.642, 0.689, 0.469)
O (0.662, 0.033, 0.234)
O (0.693, 0.085, 0.885)
O (0.709, 0.352, 0.657)
O (0.720, 0.527, 0.822)
O (0.735, 0.720, 0.972)
O (0.765, 0.286, 0.028)
O (0.779, 0.480, 0.177)
O (0.791, 0.654, 0.343)
O (0.806, 0.921, 0.115)
O (0.838, 0.972, 0.768)
O (0.859, 0.315, 0.532)
O (0.881, 0.116, 0.265)
O (0.899, 0.525, 0.678)
O (0.913, 0.184, 0.911)
O (0.941, 0.972, 0.446)
O (0.968, 0.428, 0.093)
O (0.974, 0.632, 0.249)
O (0.979, 0.753, 0.582)

=====

Entry Q
DFT (PBE-GGA) results for a relaxed structure of Na2B8O13.

Properties
The space group is P2_1/c. Its crystal system is monoclinic. Its mass density is 2.225 g/cm³.

a = 8.551 Å, b = 18.013 Å, c = 6.623 Å
α = 90.00°, β = 95.04°, γ = 90.00°
Sites, in units of the cell vectors:
Na (0.039, 0.138, 0.422)
Na (0.039, 0.362, 0.922)
Na (0.421, 0.600, 0.460)
Na (0.421, 0.900, 0.960)
Na (0.579, 0.100, 0.040)
Na (0.579, 0.400, 0.540)
Na (0.961, 0.638, 0.078)
Na (0.961, 0.862, 0.578)
B (0.020, 0.674, 0.514)
B (0.020, 0.826, 0.014)
B (0.188, 0.082, 0.942)
B (0.188, 0.418, 0.442)
B (0.200, 0.011, 0.597)
B (0.200, 0.489, 0.097)
B (0.236, 0.216, 0.920)
B (0.236, 0.284, 0.420)
B (0.256, 0.506, 0.745)
B (0.256, 0.994, 0.245)
B (0.260, 0.745, 0.976)
B (0.260, 0.755, 0.476)
B (0.317, 0.608, 0.994)
B (0.317, 0.892, 0.494)
B (0.475, 0.203, 0.447)
B (0.475, 0.297, 0.947)
B (0.525, 0.703, 0.053)
B (0.525, 0.797, 0.553)
B (0.683, 0.108, 0.506)
B (0.683, 0.392, 0.006)
B (0.740, 0.245, 0.524)
B (0.740, 0.255, 0.024)
B (0.744, 0.006, 0.755)
B (0.744, 0.494, 0.255)
B (0.764, 0.716, 0.580)
B (0.764, 0.784, 0.080)
B (0.800, 0.511, 0.903)
B (0.800, 0.989, 0.403)
B (0.812, 0.582, 0.558)
B (0.812, 0.918, 0.058)
B (0.980, 0.174, 0.986)
B (0.980, 0.326, 0.486)
O (0.039, 0.105, 0.027)
O (0.039, 0.395, 0.527)
O (0.073, 0.229, 0.909)
O (0.073, 0.271, 0.409)
O (0.150, 0.062, 0.727)
O (0.150, 0.438, 0.227)
O (0.169, 0.692, 0.463)
O (0.169, 0.808, 0.963)
O (0.182, 0.033, 0.392)
O (0.182, 0.467, 0.892)
O (0.206, 0.674, 0.972)
O (0.206, 0.826, 0.472)
O (0.259, 0.558, 0.146)
O (0.259, 0.942, 0.646)
O (0.269, 0.022, 0.056)
O (0.269, 0.478, 0.556)
O (0.298, 0.147, 0.944)
O (0.298, 0.353, 0.444)
O (0.318, 0.219, 0.406)
O (0.318, 0.281, 0.906)
O (0.325, 0.573, 0.794)
O (0.325, 0.927, 0.294)
O (0.421, 0.740, 0.491)
O (0.421, 0.760, 0.991)
O (0.475, 0.633, 0.074)
O (0.475, 0.867, 0.574)
O (0.525, 0.133, 0.426)
O (0.525, 0.367, 0.926)
O (0.579, 0.240, 0.009)
O (0.579, 0.260, 0.509)
O (0.675, 0.073, 0.706)
O (0.675, 0.427, 0.206)
O (0.682, 0.719, 0.094)
O (0.682, 0.781, 0.594)
O (0.702, 0.647, 0.556)
O (0.702, 0.853, 0.056)
O (0.731, 0.522, 0.444)
O (0.731, 0.978, 0.944)
O (0.741, 0.058, 0.354)
O (0.741, 0.442, 0.854)
O (0.794, 0.174, 0.528)
O (0.794, 0.326, 0.028)
O (0.818, 0.533, 0.108)
O (0.818, 0.967, 0.608)
O (0.831, 0.192, 0.037)
O (0.831, 0.308, 0.537)
O (0.850, 0.562, 0.773)
O (0.850, 0.938, 0.273)
O (0.927, 0.729, 0.591)
O (0.927, 0.771, 0.091)
O (0.961, 0.605, 0.473)
O (0.961, 0.895, 0.973)

=====

We find entry Q to be the most stable, with the next structure 9 meV per atom higher.

=====

Entry P
DFT (PBE-GGA) results for a relaxed structure of NdNi4B.

Properties
The space group is P6/mmm. Its crystal system is hexagonal. Its mass density is 8.386 g/cm³.

a = 5.053 Å, b = 5.053 Å, c = 6.981 Å
α = 90.00°, β = 90.00°, γ = 120.00°
Sites, in units of the cell vectors:
Nd (0.000, 0.000, 0.000)
Nd (0.000, 0.000, 0.500)
Ni (0.000, 0.500, 0.207)
Ni (0.000, 0.500, 0.793)
Ni (0.333, 0.667, 0.500)
Ni (0.500, 0.000, 0.207)
Ni (0.500, 0.000, 0.793)
Ni (0.500, 0.500, 0.207)
Ni (0.500, 0.500, 0.793)
Ni (0.667, 0.333, 0.500)
B (0.333, 0.667, 0.000)
B (0.667, 0.333, 0.000)

=====

Entry Q
DFT (PBE-GGA) results for a relaxed structure of NdNi4B.

Properties
The space group is Imma. Its crystal system is orthorhombic. Its mass density is 8.465 g/cm³.

a = 13.784 Å, b = 13.784 Å, c = 13.784 Å
α = 158.92°, β = 150.81°, γ = 36.28°
Sites, in units of the cell vectors:
Nd (0.086, 0.336, 0.750)
Nd (0.260, 0.010, 0.250)
Nd (0.419, 0.669, 0.750)
Nd (0.581, 0.331, 0.250)
Nd (0.740, 0.990, 0.750)
Nd (0.914, 0.664, 0.250)
Ni (0.000, 0.500, 0.500)
Ni (0.027, 0.332, 0.198)
Ni (0.027, 0.829, 0.695)
Ni (0.122, 0.167, 0.955)
Ni (0.207, 0.000, 0.707)
Ni (0.207, 0.500, 0.207)
Ni (0.288, 0.833, 0.455)
Ni (0.313, 0.563, 0.750)
Ni (0.363, 0.113, 0.250)
Ni (0.366, 0.171, 0.698)
Ni (0.366, 0.668, 0.195)
Ni (0.473, 0.223, 0.250)
Ni (0.500, 0.500, 0.000)
Ni (0.527, 0.777, 0.750)
Ni (0.634, 0.332, 0.805)
Ni (0.634, 0.829, 0.302)
Ni (0.637, 0.887, 0.750)
Ni (0.687, 0.437, 0.250)
Ni (0.712, 0.167, 0.545)
Ni (0.793, 0.000, 0.293)
Ni (0.793, 0.500, 0.793)
Ni (0.878, 0.833, 0.045)
Ni (0.973, 0.171, 0.305)
Ni (0.973, 0.668, 0.802)
B (0.029, 0.779, 0.250)
B (0.141, 0.891, 0.250)
B (0.204, 0.454, 0.750)
B (0.796, 0.546, 0.250)
B (0.859, 0.109, 0.750)
B (0.971, 0.221, 0.750)

=====

We find entry P to be the most stable, with the next structure 7 meV per atom higher.

=====

Entry P
DFT (PBE-GGA) results for a relaxed structure of TbNi12B6.

Properties
The space group is R-3m. Its crystal system is trigonal. Its mass density is 8.099 g/cm³.

a = 5.989 Å, b = 5.989 Å, c = 5.989 Å
α = 104.37°, β = 104.37°, γ = 104.37°
Sites, in units of the cell vectors:
Tb (0.000, 0.000, 0.000)
Ni (0.131, 0.500, 0.869)
Ni (0.131, 0.869, 0.500)
Ni (0.188, 0.453, 0.453)
Ni (0.453, 0.188, 0.453)
Ni (0.453, 0.453, 0.188)
Ni (0.500, 0.131, 0.869)
Ni (0.500, 0.869, 0.131)
Ni (0.547, 0.547, 0.812)
Ni (0.547, 0.812, 0.547)
Ni (0.812, 0.547, 0.547)
Ni (0.869, 0.131, 0.500)
Ni (0.869, 0.500, 0.131)
B (0.234, 0.234, 0.668)
B (0.234, 0.668, 0.234)
B (0.332, 0.766, 0.766)
B (0.668, 0.234, 0.234)
B (0.766, 0.332, 0.766)
B (0.766, 0.766, 0.332)

=====

Entry Q
DFT (PBE-GGA) results for a relaxed structure of TbNi12B6.

Properties
The space group is Cmc2_1. Its crystal system is orthorhombic. Its mass density is 8.006 g/cm³.

a = 6.027 Å, b = 6.027 Å, c = 10.961 Å
α = 90.00°, β = 90.00°, γ = 75.23°
Sites, in units of the cell vectors:
Tb (0.167, 0.833, 0.500)
Tb (0.833, 0.167, 0.000)
Ni (0.002, 0.632, 0.059)
Ni (0.118, 0.146, 0.241)
Ni (0.146, 0.118, 0.741)
Ni (0.194, 0.544, 0.263)
Ni (0.213, 0.526, 0.720)
Ni (0.218, 0.782, 0.897)
Ni (0.269, 0.343, 0.929)
Ni (0.343, 0.269, 0.429)
Ni (0.368, 0.998, 0.059)
Ni (0.433, 0.567, 0.078)
Ni (0.456, 0.806, 0.263)
Ni (0.474, 0.787, 0.720)
Ni (0.526, 0.213, 0.220)
Ni (0.544, 0.194, 0.763)
Ni (0.567, 0.433, 0.578)
Ni (0.632, 0.002, 0.559)
Ni (0.657, 0.731, 0.929)
Ni (0.731, 0.657, 0.429)
Ni (0.782, 0.218, 0.397)
Ni (0.787, 0.474, 0.220)
Ni (0.806, 0.456, 0.763)
Ni (0.854, 0.882, 0.241)
Ni (0.882, 0.854, 0.741)
Ni (0.998, 0.368, 0.559)
B (0.012, 0.400, 0.374)
B (0.163, 0.837, 0.158)
B (0.241, 0.328, 0.112)
B (0.328, 0.241, 0.612)
B (0.400, 0.012, 0.874)
B (0.488, 0.512, 0.841)
B (0.512, 0.488, 0.341)
B (0.600, 0.988, 0.374)
B (0.672, 0.759, 0.112)
B (0.759, 0.672, 0.612)
B (0.837, 0.163, 0.658)
B (0.988, 0.600, 0.874)

=====

We find entry Q to be the most stable, with the next structure 6 meV per atom higher.